Entry 1:
ErPt5 | r²SCAN | relaxed Values from VASP.

## Properties
Volume ... 107.5 Å³ per cell
Final energy ... -49.293 eV per atom
Crystal system ... hexagonal
DFT formation energy ... -732 meV per atom
Space-group type ... No. 191

The structure in Quantum ESPRESSO input format:
```
&SYSTEM
  ibrav = 0, nat = 6, ntyp = 2
/
ATOMIC_SPECIES
Er 167.26 Er.upf
Pt 195.08 Pt.upf
CELL_PARAMETERS angstrom
2.610 1.007 -3.461
3.084 2.891 3.167
1.025 -5.131 -0.719
ATOMIC_POSITIONS crystal
Er 0.000 0.000 0.000
Pt 0.500 0.500 0.500
Pt 0.500 0.000 0.500
Pt 0.500 0.500 0.000
Pt 0.000 0.667 0.333
Pt 0.000 0.333 0.667
```


Entry 2:
Er5Pt4 | r²SCAN | relaxed Values from VASP.

## Properties
Volume ... 797.4 Å³ per cell
Final energy ... -43.042 eV per atom
Crystal system ... orthorhombic
DFT formation energy ... -1311 meV per atom
Space-group type ... No. 62

The structure in Quantum ESPRESSO input format:
```
&SYSTEM
  ibrav = 0, nat = 36, ntyp = 2
/
ATOMIC_SPECIES
Er 167.26 Er.upf
Pt 195.08 Pt.upf
CELL_PARAMETERS angstrom
-7.404 0.000 0.000
0.000 0.000 -7.485
0.000 -14.388 0.000
ATOMIC_POSITIONS crystal
Er 0.349 0.832 0.877
Er 0.849 0.668 0.623
Er 0.651 0.168 0.377
Er 0.151 0.332 0.123
Er 0.651 0.168 0.123
Er 0.151 0.332 0.377
Er 0.349 0.832 0.623
Er 0.849 0.668 0.877
Er 0.503 0.320 0.907
Er 0.003 0.180 0.593
Er 0.497 0.680 0.407
Er 0.997 0.820 0.093
Er 0.497 0.680 0.093
Er 0.997 0.820 0.407
Er 0.503 0.320 0.593
Er 0.003 0.180 0.907
Er 0.187 0.489 0.750
Er 0.687 0.011 0.750
Er 0.813 0.511 0.250
Er 0.313 0.989 0.250
Pt 0.313 0.033 0.041
Pt 0.813 0.467 0.459
Pt 0.687 0.967 0.541
Pt 0.187 0.533 0.959
Pt 0.687 0.967 0.959
Pt 0.187 0.533 0.541
Pt 0.313 0.033 0.459
Pt 0.813 0.467 0.041
Pt 0.553 0.611 0.750
Pt 0.053 0.889 0.750
Pt 0.447 0.389 0.250
Pt 0.947 0.111 0.250
Pt 0.325 0.143 0.750
Pt 0.825 0.357 0.750
Pt 0.675 0.857 0.250
Pt 0.175 0.643 0.250
```


Entry 3:
Er5SbPt2 | r²SCAN | relaxed Values from VASP.

## Properties
Volume ... 394.6 Å³ per cell
Final energy ... -38.418 eV per atom
Crystal system ... tetragonal
DFT formation energy ... -1129 meV per atom
Space-group type ... No. 140

The structure in Quantum ESPRESSO input format:
```
&SYSTEM
  ibrav = 0, nat = 16, ntyp = 3
/
ATOMIC_SPECIES
Er 167.26 Er.upf
Sb 121.76 Sb.upf
Pt 195.08 Pt.upf
CELL_PARAMETERS angstrom
-3.821 3.821 6.757
3.821 -3.821 6.757
3.821 3.821 -6.757
ATOMIC_POSITIONS crystal
Er 0.000 0.000 0.000
Er 0.500 0.500 0.000
Er 0.795 0.295 0.813
Er 0.205 0.705 0.187
Er 0.482 0.982 0.187
Er 0.295 0.482 0.500
Er 0.018 0.205 0.500
Er 0.518 0.018 0.813
Er 0.705 0.518 0.500
Er 0.982 0.795 0.500
Sb 0.250 0.250 0.000
Sb 0.750 0.750 0.000
Pt 0.139 0.639 0.779
Pt 0.861 0.361 0.221
Pt 0.639 0.861 0.500
Pt 0.361 0.139 0.500
```


Entry 4:
ErSi2Pt2 | r²SCAN | relaxed Values from VASP.

## Properties
Volume ... 169.1 Å³ per cell
Final energy ... -32.041 eV per atom
Crystal system ... tetragonal
DFT formation energy ... -1152 meV per atom
Space-group type ... No. 129

The structure in Quantum ESPRESSO input format:
```
&SYSTEM
  ibrav = 0, nat = 10, ntyp = 3
/
ATOMIC_SPECIES
Er 167.26 Er.upf
Si 28.09 Si.upf
Pt 195.08 Pt.upf
CELL_PARAMETERS angstrom
-2.608 -0.114 3.196
-1.830 -3.329 -1.611
6.312 -5.862 4.941
ATOMIC_POSITIONS crystal
Er 0.000 0.500 0.253
Er 0.500 0.000 0.747
Si 0.000 0.000 0.500
Si 0.500 0.500 0.500
Si 0.000 0.500 0.864
Si 0.500 0.000 0.136
Pt 0.000 0.000 0.000
Pt 0.500 0.500 0.000
Pt 0.000 0.500 0.626
Pt 0.500 0.000 0.374
```


Entry 5:
YbErPt2 | r²SCAN | relaxed Values from VASP.

## Properties
Volume ... 80.4 Å³ per cell
Final energy ... -44.746 eV per atom
Crystal system ... cubic
DFT formation energy ... -1388 meV per atom
Space-group type ... No. 225

The structure in Quantum ESPRESSO input format:
```
&SYSTEM
  ibrav = 0, nat = 4, ntyp = 3
/
ATOMIC_SPECIES
Yb 173.04 Yb.upf
Er 167.26 Er.upf
Pt 195.08 Pt.upf
CELL_PARAMETERS angstrom
0.000 3.426 3.426
3.426 0.000 3.426
3.426 3.426 0.000
ATOMIC_POSITIONS crystal
Yb 0.000 0.000 0.000
Er 0.500 0.500 0.500
Pt 0.250 0.250 0.250
Pt 0.750 0.750 0.750
```


Entry 6:
ErZnPt | r²SCAN | relaxed Values from VASP.

## Properties
Volume ... 226.7 Å³ per cell
Final energy ... -32.523 eV per atom
Crystal system ... orthorhombic
DFT formation energy ... -1082 meV per atom
Space-group type ... No. 62

The structure in Quantum ESPRESSO input format:
```
&SYSTEM
  ibrav = 0, nat = 12, ntyp = 3
/
ATOMIC_SPECIES
Er 167.26 Er.upf
Zn 65.41 Zn.upf
Pt 195.08 Pt.upf
CELL_PARAMETERS angstrom
4.049 0.000 0.000
0.000 6.890 0.000
0.000 0.000 8.125
ATOMIC_POSITIONS crystal
Er 0.250 0.045 0.315
Er 0.250 0.545 0.185
Er 0.750 0.955 0.685
Er 0.750 0.455 0.815
Zn 0.250 0.634 0.563
Zn 0.250 0.134 0.937
Zn 0.750 0.366 0.437
Zn 0.750 0.866 0.063
Pt 0.250 0.249 0.623
Pt 0.250 0.749 0.877
Pt 0.750 0.751 0.377
Pt 0.750 0.251 0.123
```


What did the sixth record say?
ErZnPt | r²SCAN | relaxed Values from VASP.

## Properties
Volume ... 226.7 Å³ per cell
Final energy ... -32.523 eV per atom
Crystal system ... orthorhombic
DFT formation energy ... -1082 meV per atom
Space-group type ... No. 62

The structure in Quantum ESPRESSO input format:
```
&SYSTEM
  ibrav = 0, nat = 12, ntyp = 3
/
ATOMIC_SPECIES
Er 167.26 Er.upf
Zn 65.41 Zn.upf
Pt 195.08 Pt.upf
CELL_PARAMETERS angstrom
4.049 0.000 0.000
0.000 6.890 0.000
0.000 0.000 8.125
ATOMIC_POSITIONS crystal
Er 0.250 0.045 0.315
Er 0.250 0.545 0.185
Er 0.750 0.955 0.685
Er 0.750 0.455 0.815
Zn 0.250 0.634 0.563
Zn 0.250 0.134 0.937
Zn 0.750 0.366 0.437
Zn 0.750 0.866 0.063
Pt 0.250 0.249 0.623
Pt 0.250 0.749 0.877
Pt 0.750 0.751 0.377
Pt 0.750 0.251 0.123
```


> The lowest DFT formation energy belongs to which entry?

YbErPt2


> Look up the DFT formation energy of the sixth one.

-1082 meV per atom